[1]
A plane-wave DFT calculation with meta-GGA r2SCAN was carried out for an optimized crystal structure of Cs3Ta2S11.

The structure in POSCAR format:
```
Cs3Ta2S11
1.0
-6.519 0.541 -5.025
-2.565 -11.753 2.061
-12.095 0.842 15.782
Cs Ta S
12 8 44
Direct
0.841 0.962 0.641
0.820 0.504 0.663
0.680 0.504 0.163
0.688 0.730 0.382
0.180 0.496 0.337
0.659 0.962 0.141
0.320 0.496 0.837
0.188 0.270 0.118
0.812 0.730 0.882
0.159 0.038 0.359
0.312 0.270 0.618
0.341 0.038 0.859
0.142 0.790 0.157
0.776 0.308 0.494
0.276 0.692 0.006
0.224 0.692 0.506
0.358 0.790 0.657
0.642 0.210 0.343
0.724 0.308 0.994
0.858 0.210 0.843
0.476 0.584 0.544
0.949 0.746 0.531
0.727 0.390 0.845
0.123 0.499 0.513
0.425 0.980 0.592
0.744 0.250 0.607
0.024 0.584 0.044
0.113 0.707 0.715
0.990 0.248 0.952
0.377 0.499 0.013
0.490 0.752 0.548
0.935 0.735 0.228
0.065 0.265 0.772
0.010 0.752 0.048
0.387 0.707 0.215
0.623 0.501 0.987
0.925 0.020 0.908
0.551 0.746 0.031
0.435 0.265 0.272
0.718 0.028 0.321
0.510 0.248 0.452
0.218 0.972 0.179
0.887 0.293 0.285
0.613 0.293 0.785
0.227 0.610 0.655
0.128 0.862 0.540
0.565 0.735 0.728
0.075 0.980 0.092
0.449 0.254 0.969
0.872 0.138 0.460
0.877 0.501 0.487
0.976 0.416 0.956
0.282 0.972 0.679
0.273 0.610 0.155
0.524 0.416 0.456
0.756 0.250 0.107
0.051 0.254 0.469
0.256 0.750 0.393
0.628 0.138 0.960
0.372 0.862 0.040
0.773 0.390 0.345
0.575 0.020 0.408
0.244 0.750 0.893
0.782 0.028 0.821
```

Output
- DFT formation energy (meV per atom) = -1028
- magnetic moment (μB/cell) = 0.00
- space group = No. 14

[2]
A plane-wave DFT calculation with meta-GGA r2SCAN was carried out for an optimized crystal structure of Cs4Tc6S13.

The structure in POSCAR format:
```
Cs4Tc6S13
1.0
8.628 5.045 0.002
-8.628 5.045 0.002
0.000 2.514 13.511
Cs Tc S
8 12 26
Direct
0.340 0.092 0.085
0.092 0.340 0.585
0.908 0.660 0.415
0.276 0.316 0.283
0.684 0.724 0.217
0.660 0.908 0.915
0.316 0.276 0.783
0.724 0.684 0.717
0.313 0.995 0.522
0.995 0.313 0.022
0.152 0.564 0.891
0.149 0.581 0.078
0.848 0.436 0.109
0.851 0.419 0.922
0.687 0.005 0.478
0.436 0.848 0.609
0.005 0.687 0.978
0.581 0.149 0.578
0.419 0.851 0.422
0.564 0.152 0.391
0.274 0.461 0.994
0.009 0.656 0.808
0.358 0.642 0.750
0.726 0.539 0.006
0.007 0.690 0.152
0.642 0.358 0.250
0.656 0.009 0.308
0.804 0.281 0.451
0.196 0.719 0.549
0.280 0.642 0.326
0.974 0.046 0.061
0.539 0.726 0.506
0.991 0.344 0.192
0.026 0.954 0.939
0.993 0.310 0.848
0.642 0.280 0.826
0.690 0.007 0.652
0.954 0.026 0.439
0.344 0.991 0.692
0.719 0.196 0.049
0.461 0.274 0.494
0.046 0.974 0.561
0.281 0.804 0.951
0.720 0.358 0.674
0.310 0.993 0.348
0.358 0.720 0.174
```

Output
- DFT formation energy (meV per atom) = -972
- magnetic moment (μB/cell) = 0.00
- space group = No. 15